Density functional theory data (meta-GGA r2SCAN) for a relaxed structure of CePd3. Values from VASP.

Calculated values
Calculated total energy in eV per atom: -25.75
Calculated formation energy in eV/atom: -0.8212

```
&SYSTEM
  ibrav = 0, nat = 4, ntyp = 2
/
ATOMIC_SPECIES
Ce 140.12 Ce.upf
Pd 106.42 Pd.upf
CELL_PARAMETERS angstrom
4.1387 0.0000 0.0000
0.0000 4.1387 0.0000
0.0000 0.0000 4.1387
ATOMIC_POSITIONS angstrom
Ce 0.0000 0.0000 0.0000
Pd 0.0000 2.0694 2.0694
Pd 2.0694 0.0000 2.0694
Pd 2.0694 2.0694 0.0000
```